[1]
The following is a DFT calculation (GGA-PBE) of crystalline Hg2Sb7H2Xe3F59 at its relaxed geometry.

Cell: 10.322 13.234 19.229 Å, 92.95 98.51 103.03°
Space group P-1 (No. 2)
Symmetry-distinct sites (fractional):
Hg  0.005  0.401  0.135 (multiplicity 2)
Hg  0.009  0.160  0.393 (multiplicity 2)
Sb  0.078  0.117  0.622 (multiplicity 2)
Sb  0.089  0.700  0.045 (multiplicity 2)
Sb  0.152  0.475  0.353 (multiplicity 2)
Sb  0.156  0.130  0.193 (multiplicity 2)
Sb  0.322  0.813  0.783 (multiplicity 2)
Sb  0.430  0.485  0.134 (multiplicity 2)
Sb  0.432  0.179  0.446 (multiplicity 2)
H  0.238  0.506  0.854 (multiplicity 2)
H  0.238  0.803  0.546 (multiplicity 2)
Xe  0.355  0.184  0.001 (multiplicity 2)
Xe  0.385  0.521  0.643 (multiplicity 2)
Xe  0.385  0.902  0.291 (multiplicity 2)
F  0.000  0.036  0.146 (multiplicity 2)
F  0.005  0.259  0.886 (multiplicity 2)
F  0.007  0.486  0.633 (multiplicity 2)
F  0.014  0.776  0.371 (multiplicity 2)
F  0.045  0.557  0.071 (multiplicity 2)
F  0.056  0.121  0.520 (multiplicity 2)
F  0.060  0.415  0.257 (multiplicity 2)
F  0.074  0.139  0.277 (multiplicity 2)
F  0.074  0.337  0.383 (multiplicity 2)
F  0.076  0.337  0.025 (multiplicity 2)
F  0.087  0.245  0.158 (multiplicity 2)
F  0.089  0.991  0.391 (multiplicity 2)
F  0.100  0.102  0.720 (multiplicity 2)
F  0.132  0.835  0.013 (multiplicity 2)
F  0.144  0.770  0.546 (multiplicity 2)
F  0.145  0.496  0.832 (multiplicity 2)
F  0.155  0.994  0.608 (multiplicity 2)
F  0.164  0.114  0.969 (multiplicity 2)
F  0.165  0.646  0.966 (multiplicity 2)
F  0.183  0.727  0.826 (multiplicity 2)
F  0.189  0.820  0.702 (multiplicity 2)
F  0.207  0.816  0.249 (multiplicity 2)
F  0.224  0.601  0.315 (multiplicity 2)
F  0.229  0.015  0.227 (multiplicity 2)
F  0.238  0.521  0.447 (multiplicity 2)
F  0.241  0.124  0.109 (multiplicity 2)
F  0.250  0.473  0.154 (multiplicity 2)
F  0.253  0.204  0.424 (multiplicity 2)
F  0.253  0.205  0.629 (multiplicity 2)
F  0.256  0.407  0.583 (multiplicity 2)
F  0.258  0.599  0.599 (multiplicity 2)
F  0.258  0.722  0.105 (multiplicity 2)
F  0.263  0.472  0.710 (multiplicity 2)
F  0.293  0.934  0.828 (multiplicity 2)
F  0.301  0.419  0.334 (multiplicity 2)
F  0.314  0.225  0.240 (multiplicity 2)
F  0.316  0.303  0.952 (multiplicity 2)
F  0.338  0.859  0.382 (multiplicity 2)
F  0.347  0.688  0.737 (multiplicity 2)
F  0.368  0.134  0.905 (multiplicity 2)
F  0.375  0.077  0.507 (multiplicity 2)
F  0.375  0.340  0.095 (multiplicity 2)
F  0.381  0.069  0.368 (multiplicity 2)
F  0.382  0.526  0.043 (multiplicity 2)
F  0.388  0.846  0.540 (multiplicity 2)
F  0.389  0.516  0.883 (multiplicity 2)
F  0.396  0.048  0.021 (multiplicity 2)
F  0.425  0.055  0.663 (multiplicity 2)
F  0.432  0.767  0.286 (multiplicity 2)
F  0.438  0.902  0.196 (multiplicity 2)
F  0.452  0.755  0.998 (multiplicity 2)
F  0.453  0.801  0.862 (multiplicity 2)
F  0.462  0.894  0.740 (multiplicity 2)
F  0.468  0.528  0.557 (multiplicity 2)
F  0.472  0.406  0.666 (multiplicity 2)
F  0.474  0.435  0.225 (multiplicity 2)
F  0.481  0.287  0.519 (multiplicity 2)
F  0.486  0.275  0.378 (multiplicity 2)
F  0.489  0.624  0.175 (multiplicity 2)

Values from the calculation:
calculated density = 3.65 g/cm3

***

[2]
The following is a DFT calculation (GGA-PBE) of crystalline InH5N2F2 at its relaxed geometry.

Cell: 7.837 5.479 11.286 Å, 90.00 128.66 90.00°
Space group P2_1/c (No. 14)
Symmetry-distinct sites (fractional):
In  0.217  0.062  0.361 (multiplicity 4)
H  0.061  0.710  0.609 (multiplicity 4)
H  0.119  0.007  0.926 (multiplicity 4)
H  0.257  0.156  0.669 (multiplicity 4)
H  0.397  0.023  0.836 (multiplicity 4)
H  0.495  0.741  0.185 (multiplicity 4)
N  0.018  0.143  0.851 (multiplicity 4)
N  0.359  0.189  0.783 (multiplicity 4)
F  0.182  0.662  0.000 (multiplicity 4)
F  0.477  0.695  0.915 (multiplicity 4)

Values from the calculation:
calculated density = 3.26 g/cm3

***

[3]
The following is a DFT calculation (GGA-PBE) of crystalline NaInH8N2F6 at its relaxed geometry.

Cell: 8.767 8.767 8.767 Å, 90.00 90.00 90.00°
Space group Fm-3m (No. 225)
Symmetry-distinct sites (fractional):
Na  0.000  0.000  0.000 (multiplicity 4)
In  0.000  0.000  0.500 (multiplicity 4)
H  0.182  0.182  0.182 (multiplicity 32)
N  0.250  0.250  0.250 (multiplicity 8)
F  0.000  0.000  0.258 (multiplicity 24)

Values from the calculation:
calculated density = 2.84 g/cm3

***

[4]
The following is a DFT calculation (GGA-PBE) of crystalline ZnInH14O7F5 at its relaxed geometry.

Cell: 6.676 9.107 9.139 Å, 102.88 97.97 96.36°
Space group P-1 (No. 2)
Symmetry-distinct sites (fractional):
Zn  0.000  0.000  0.000 (multiplicity 1)
Zn  0.000  0.500  0.500 (multiplicity 1)
In  0.500  0.000  0.500 (multiplicity 1)
In  0.500  0.500  0.000 (multiplicity 1)
H  0.034  0.297  0.981 (multiplicity 2)
H  0.051  0.331  0.227 (multiplicity 2)
H  0.061  0.045  0.313 (multiplicity 2)
H  0.108  0.358  0.730 (multiplicity 2)
H  0.119  0.241  0.571 (multiplicity 2)
H  0.178  0.973  0.750 (multiplicity 2)
H  0.192  0.761  0.353 (multiplicity 2)
H  0.194  0.750  0.990 (multiplicity 2)
H  0.259  0.438  0.304 (multiplicity 2)
H  0.327  0.729  0.639 (multiplicity 2)
H  0.383  0.568  0.665 (multiplicity 2)
H  0.394  0.151  0.031 (multiplicity 2)
H  0.396  0.063  0.162 (multiplicity 2)
H  0.396  0.709  0.294 (multiplicity 2)
O  0.038  0.318  0.622 (multiplicity 2)
O  0.047  0.000  0.777 (multiplicity 2)
O  0.048  0.763  0.963 (multiplicity 2)
O  0.137  0.383  0.328 (multiplicity 2)
O  0.289  0.617  0.605 (multiplicity 2)
O  0.311  0.075  0.069 (multiplicity 2)
O  0.329  0.800  0.330 (multiplicity 2)
F  0.191  0.410  0.911 (multiplicity 2)
F  0.236  0.102  0.478 (multiplicity 2)
F  0.401  0.917  0.682 (multiplicity 2)
F  0.437  0.720  0.005 (multiplicity 2)
F  0.454  0.530  0.233 (multiplicity 2)

Values from the calculation:
calculated density = 2.51 g/cm3

***

[5]
The following is a DFT calculation (GGA-PBE) of crystalline KH3F4 at its relaxed geometry.

Cell: 7.4798 7.4798 12.4028 Å, 90.00 90.00 120.00°
Space group R-3c (No. 167, hexagonal axes)
Symmetry-distinct sites (fractional):
K  0.0000  0.0000  0.0000 (multiplicity 6)
H  0.0000  0.1880  0.2500 (multiplicity 18)
F  0.0000  0.0000  0.2500 (multiplicity 6)
F  0.0000  0.3218  0.2500 (multiplicity 18)

Values from the calculation:
calculated density = 1.96 g/cm3

***

[6]
The following is a DFT calculation (GGA-PBE) of crystalline KH2F3 at its relaxed geometry.

Cell: 7.019 7.019 19.692 Å, 90.00 90.00 90.00°
Space group I4_1/a (No. 88, origin choice 2)
Symmetry-distinct sites (fractional):
K  0.000  0.000  0.000 (multiplicity 8)
H  0.120  0.395  0.531 (multiplicity 16)
F  0.000  0.000  0.500 (multiplicity 8)
F  0.072  0.012  0.697 (multiplicity 16)

Values from the calculation:
calculated density = 1.34 g/cm3

***

[7]
The following is a DFT calculation (GGA-PBE) of crystalline KHF2 at its relaxed geometry.

Cell: 5.725 5.725 6.871 Å, 90.00 90.00 90.00°
Space group I4/mcm (No. 140)
Symmetry-distinct sites (fractional):
K  0.000  0.000  0.250 (multiplicity 4)
H  0.000  0.500  0.000 (multiplicity 4)
F  0.142  0.358  0.000 (multiplicity 8)

Values from the calculation:
calculated density = 2.30 g/cm3

***

[8]
The following is a DFT calculation (GGA-PBE) of crystalline K2H5F7 at its relaxed geometry.

Cell: 10.159 8.551 8.428 Å, 90.00 101.74 90.00°
Space group P2_1/c (No. 14)
Symmetry-distinct sites (fractional):
K  0.002  0.249  0.000 (multiplicity 4)
K  0.461  0.729  0.364 (multiplicity 4)
H  0.152  0.001  0.289 (multiplicity 4)
H  0.157  0.525  0.288 (multiplicity 4)
H  0.274  0.193  0.818 (multiplicity 4)
H  0.283  0.523  0.623 (multiplicity 4)
H  0.283  0.524  0.020 (multiplicity 4)
F  0.149  0.001  0.423 (multiplicity 4)
F  0.151  0.127  0.785 (multiplicity 4)
F  0.152  0.001  0.151 (multiplicity 4)
F  0.158  0.647  0.289 (multiplicity 4)
F  0.366  0.246  0.843 (multiplicity 4)
F  0.374  0.550  0.080 (multiplicity 4)
F  0.377  0.548  0.609 (multiplicity 4)

Values from the calculation:
calculated density = 2.00 g/cm3

***

Computed values of formation enthalpy at 0 K (unit: kcal/mol of atoms) for the preceding records, in sequence: -45.86; -24.47; -37.30; -38.00; -50.54; -48.39; -57.61; -51.75.